Record 1
# Na6Fe2P4HO17

A relaxed Na6Fe2P4HO17 crystal (GGA+U, Materials Project).

- SG = No. 1
- ΔE_f (kJ per mole of atoms) = -228.0
- total energy (eV per cell) = -377.45

Lattice parameters (Å, degrees): 5.281 9.381 15.132 80.34 81.41 79.16
Fractional positions:
Na 0.300 0.363 0.020
Na 0.700 0.637 0.980
Na 0.879 0.844 0.493
Na 0.120 0.159 0.506
Na 0.121 0.624 0.133
Na 0.879 0.376 0.868
Na 0.000 0.000 0.000
Na 0.435 0.864 0.355
Na 0.565 0.137 0.644
Na 0.605 0.499 0.273
Na 0.393 0.500 0.730
Na 0.491 0.524 0.509
Fe 0.959 0.970 0.227
Fe 0.041 0.031 0.773
Fe 0.190 0.292 0.269
Fe 0.810 0.708 0.731
P 0.773 0.300 0.123
P 0.227 0.701 0.877
P 0.528 0.825 0.129
P 0.472 0.175 0.871
P 0.998 0.629 0.354
P 0.001 0.371 0.646
P 0.674 0.169 0.391
P 0.326 0.831 0.609
H 0.501 0.999 0.000
H 0.001 0.500 0.499
O 0.070 0.784 0.319
O 0.931 0.215 0.681
O 0.702 0.110 0.490
O 0.298 0.888 0.510
O 0.115 0.583 0.447
O 0.883 0.417 0.554
O 0.854 0.131 0.129
O 0.145 0.869 0.871
O 0.732 0.038 0.335
O 0.269 0.961 0.665
O 0.704 0.634 0.373
O 0.295 0.368 0.628
O 0.392 0.252 0.379
O 0.608 0.747 0.620
O 0.764 0.370 0.024
O 0.236 0.630 0.976
O 0.501 0.337 0.179
O 0.499 0.664 0.821
O 0.635 0.891 0.031
O 0.364 0.109 0.969
O 0.979 0.365 0.162
O 0.022 0.635 0.838
O 0.645 0.883 0.202
O 0.356 0.116 0.798
O 0.225 0.869 0.137
O 0.774 0.131 0.863
O 0.212 0.080 0.261
O 0.788 0.920 0.739
O 0.863 0.281 0.353
O 0.138 0.718 0.646
O 0.609 0.659 0.137
O 0.391 0.341 0.863
O 0.129 0.522 0.285
O 0.868 0.478 0.715


Record 2
# Fe3P4H8NO12

A relaxed Fe3P4H8NO12 crystal (GGA+U, Materials Project).

- SG = No. 14
- ΔE_f (kJ per mole of atoms) = -161.0
- total energy (eV per cell) = -694.46

Lattice parameters (Å, degrees): 9.436 10.263 12.750 90.00 99.90 90.00
Fractional positions:
Fe 0.197 0.252 0.126
Fe 0.303 0.752 0.874
Fe 0.803 0.748 0.874
Fe 0.697 0.248 0.126
Fe 0.225 0.065 0.915
Fe 0.275 0.565 0.085
Fe 0.775 0.935 0.085
Fe 0.725 0.435 0.915
Fe 0.326 0.131 0.365
Fe 0.174 0.631 0.635
Fe 0.674 0.869 0.635
Fe 0.826 0.369 0.365
P 0.974 0.101 0.289
P 0.526 0.601 0.711
P 0.026 0.899 0.711
P 0.474 0.399 0.289
P 0.444 0.025 0.151
P 0.056 0.525 0.849
P 0.556 0.975 0.849
P 0.944 0.475 0.151
P 0.899 0.158 0.940
P 0.601 0.658 0.060
P 0.101 0.842 0.060
P 0.399 0.342 0.940
P 0.176 0.388 0.468
P 0.324 0.888 0.532
P 0.824 0.612 0.532
P 0.676 0.112 0.468
H 0.996 0.082 0.400
H 0.504 0.582 0.600
H 0.004 0.918 0.600
H 0.496 0.418 0.400
H 0.436 0.898 0.110
H 0.064 0.398 0.890
H 0.564 0.102 0.890
H 0.936 0.602 0.110
H 0.886 0.050 0.872
H 0.614 0.550 0.128
H 0.114 0.950 0.128
H 0.386 0.450 0.872
H 0.197 0.460 0.377
H 0.303 0.960 0.623
H 0.803 0.540 0.623
H 0.697 0.040 0.377
H 0.894 0.251 0.600
H 0.606 0.751 0.400
H 0.106 0.749 0.400
H 0.394 0.249 0.600
H 0.014 0.173 0.696
H 0.486 0.673 0.304
H 0.986 0.827 0.304
H 0.514 0.327 0.696
H 0.888 0.267 0.734
H 0.612 0.767 0.266
H 0.112 0.733 0.266
H 0.388 0.233 0.734
H 0.021 0.340 0.682
H 0.479 0.840 0.318
H 0.979 0.660 0.318
H 0.521 0.160 0.682
N 0.955 0.258 0.676
N 0.545 0.758 0.324
N 0.045 0.742 0.324
N 0.455 0.242 0.676
O 0.124 0.140 0.263
O 0.376 0.640 0.737
O 0.876 0.860 0.737
O 0.624 0.360 0.263
O 0.366 0.284 0.266
O 0.134 0.784 0.734
O 0.634 0.716 0.734
O 0.866 0.216 0.266
O 0.327 0.105 0.081
O 0.173 0.605 0.919
O 0.673 0.895 0.919
O 0.827 0.395 0.081
O 0.062 0.177 0.981
O 0.438 0.677 0.019
O 0.938 0.823 0.019
O 0.562 0.323 0.981
O 0.098 0.427 0.145
O 0.402 0.927 0.855
O 0.902 0.573 0.855
O 0.598 0.073 0.145
O 0.318 0.378 0.032
O 0.182 0.878 0.968
O 0.682 0.622 0.968
O 0.818 0.122 0.032
O 0.414 0.012 0.266
O 0.086 0.512 0.734
O 0.586 0.988 0.734
O 0.914 0.488 0.266
O 0.266 0.261 0.470
O 0.234 0.761 0.530
O 0.734 0.739 0.530
O 0.766 0.239 0.470
O 0.264 0.971 0.434
O 0.236 0.471 0.566
O 0.736 0.029 0.566
O 0.764 0.529 0.434
O 0.516 0.143 0.459
O 0.984 0.643 0.541
O 0.484 0.857 0.541
O 0.016 0.357 0.459
O 0.087 0.026 0.763
O 0.413 0.526 0.237
O 0.913 0.974 0.237
O 0.587 0.474 0.763
O 0.329 0.228 0.871
O 0.171 0.728 0.129
O 0.671 0.772 0.129
O 0.829 0.272 0.871


Record 3
# Li3Fe2Ge3O12

A relaxed Li3Fe2Ge3O12 crystal (GGA+U, Materials Project).

- SG = No. 230
- ΔE_f (kJ per mole of atoms) = -175.0
- total energy (eV per cell) = -477.70

Lattice parameters (Å, degrees): 10.506 10.506 10.506 109.47 109.47 109.47
Fractional positions:
Li 0.750 0.625 0.875
Li 0.250 0.875 0.625
Li 0.625 0.250 0.875
Li 0.875 0.750 0.625
Li 0.875 0.625 0.250
Li 0.625 0.875 0.750
Li 0.250 0.375 0.125
Li 0.750 0.125 0.375
Li 0.375 0.750 0.125
Li 0.125 0.250 0.375
Li 0.125 0.375 0.750
Li 0.375 0.125 0.250
Fe 0.500 0.000 0.500
Fe 0.000 0.500 0.000
Fe 0.500 0.500 0.500
Fe 0.000 0.000 0.500
Fe 0.000 0.000 0.000
Fe 0.000 0.500 0.500
Fe 0.500 0.500 0.000
Fe 0.500 0.000 0.000
Ge 0.375 0.625 0.750
Ge 0.625 0.375 0.250
Ge 0.625 0.750 0.375
Ge 0.250 0.125 0.875
Ge 0.875 0.250 0.125
Ge 0.750 0.375 0.625
Ge 0.250 0.625 0.375
Ge 0.750 0.875 0.125
Ge 0.125 0.750 0.875
Ge 0.375 0.250 0.625
Ge 0.875 0.125 0.750
Ge 0.125 0.875 0.250
O 0.520 0.400 0.820
O 0.820 0.520 0.400
O 0.799 0.879 0.980
O 0.420 0.100 0.621
O 0.879 0.400 0.080
O 0.680 0.080 0.701
O 0.820 0.799 0.420
O 0.400 0.820 0.520
O 0.621 0.701 0.520
O 0.420 0.820 0.799
O 0.400 0.080 0.879
O 0.100 0.980 0.680
O 0.980 0.680 0.100
O 0.799 0.420 0.820
O 0.520 0.621 0.701
O 0.701 0.520 0.621
O 0.080 0.879 0.400
O 0.980 0.799 0.879
O 0.080 0.701 0.680
O 0.379 0.299 0.480
O 0.621 0.420 0.100
O 0.100 0.621 0.420
O 0.701 0.680 0.080
O 0.680 0.100 0.980
O 0.480 0.600 0.180
O 0.180 0.480 0.600
O 0.201 0.121 0.020
O 0.580 0.900 0.379
O 0.121 0.600 0.920
O 0.320 0.920 0.299
O 0.180 0.201 0.580
O 0.600 0.180 0.480
O 0.320 0.900 0.020
O 0.299 0.320 0.920
O 0.900 0.379 0.580
O 0.121 0.020 0.201
O 0.379 0.580 0.900
O 0.920 0.299 0.320
O 0.020 0.201 0.121
O 0.920 0.121 0.600
O 0.299 0.480 0.379
O 0.480 0.379 0.299
O 0.201 0.580 0.180
O 0.020 0.320 0.900
O 0.900 0.020 0.320
O 0.600 0.920 0.121
O 0.580 0.180 0.201
O 0.879 0.980 0.799


Record 4
# FeNiPO5

A relaxed FeNiPO5 crystal (GGA+U, Materials Project).

- SG = No. 62
- ΔE_f (kJ per mole of atoms) = -200.5
- total energy (eV per cell) = -211.17

Lattice parameters (Å, degrees): 6.433 7.401 7.492 90.00 90.00 90.00
Fractional positions:
Fe 0.250 0.650 0.207
Fe 0.750 0.850 0.707
Fe 0.750 0.350 0.793
Fe 0.250 0.150 0.293
Ni 0.500 0.000 0.000
Ni 0.000 0.000 0.000
Ni 0.500 0.500 0.500
Ni 0.000 0.500 0.500
P 0.750 0.630 0.142
P 0.750 0.130 0.358
P 0.250 0.870 0.642
P 0.250 0.370 0.858
O 0.556 0.631 0.265
O 0.250 0.399 0.360
O 0.750 0.101 0.860
O 0.750 0.804 0.026
O 0.750 0.304 0.474
O 0.250 0.899 0.140
O 0.750 0.601 0.640
O 0.056 0.369 0.735
O 0.056 0.869 0.765
O 0.750 0.461 0.025
O 0.556 0.131 0.235
O 0.250 0.039 0.525
O 0.250 0.539 0.975
O 0.944 0.631 0.265
O 0.444 0.369 0.735
O 0.944 0.131 0.235
O 0.444 0.869 0.765
O 0.250 0.196 0.974
O 0.250 0.696 0.526
O 0.750 0.961 0.475


Record 5
# Rb3CrF6

A relaxed Rb3CrF6 crystal (GGA+U, Materials Project).

- SG = No. 2
- ΔE_f (kJ per mole of atoms) = -291.3
- total energy (eV per cell) = -49.51

Lattice parameters (Å, degrees): 7.030 7.048 7.100 101.32 101.40 105.06
Fractional positions:
Rb 0.000 0.000 0.500
Rb 0.500 0.000 0.000
Rb 0.000 0.500 0.000
Cr 0.000 0.000 0.000
F 0.962 0.206 0.206
F 0.038 0.794 0.794
F 0.197 0.936 0.195
F 0.803 0.064 0.805
F 0.214 0.202 0.942
F 0.786 0.798 0.058


Record 6
# Li35Fe8O32

A relaxed Li35Fe8O32 crystal (GGA+U, Materials Project).

- SG = No. 1
- ΔE_f (kJ per mole of atoms) = -186.7
- total energy (eV per cell) = -398.02

Lattice parameters (Å, degrees): 9.188 9.268 9.438 89.75 89.83 89.96
Fractional positions:
Li 0.373 0.136 0.899
Li 0.124 0.638 0.898
Li 0.615 0.332 0.884
Li 0.153 0.362 0.886
Li 0.352 0.855 0.885
Li 0.881 0.413 0.840
Li 0.630 0.916 0.843
Li 0.117 0.916 0.665
Li 0.381 0.416 0.662
Li 0.846 0.857 0.632
Li 0.656 0.361 0.616
Li 0.389 0.833 0.618
Li 0.111 0.331 0.618
Li 0.869 0.137 0.600
Li 0.623 0.631 0.597
Li 0.384 0.361 0.387
Li 0.115 0.865 0.389
Li 0.886 0.655 0.391
Li 0.614 0.154 0.392
Li 0.351 0.628 0.379
Li 0.152 0.131 0.380
Li 0.380 0.897 0.351
Li 0.122 0.393 0.351
Li 0.883 0.102 0.337
Li 0.615 0.604 0.337
Li 0.388 0.108 0.165
Li 0.118 0.598 0.163
Li 0.622 0.396 0.150
Li 0.874 0.895 0.133
Li 0.847 0.629 0.122
Li 0.650 0.132 0.122
Li 0.391 0.653 0.105
Li 0.111 0.158 0.111
Li 0.883 0.360 0.112
Li 0.616 0.864 0.112
Fe 0.871 0.119 0.876
Fe 0.631 0.622 0.873
Fe 0.370 0.121 0.624
Fe 0.130 0.621 0.624
Fe 0.852 0.378 0.382
Fe 0.649 0.878 0.383
Fe 0.351 0.380 0.117
Fe 0.149 0.878 0.118
O 0.735 0.496 0.994
O 0.758 0.005 0.997
O 0.983 0.252 0.974
O 0.521 0.752 0.974
O 0.944 0.002 0.743
O 0.558 0.488 0.750
O 0.776 0.249 0.759
O 0.704 0.746 0.746
O 0.276 0.247 0.741
O 0.224 0.748 0.741
O 0.439 0.992 0.753
O 0.058 0.491 0.751
O 0.481 0.253 0.526
O 0.020 0.753 0.526
O 0.234 0.496 0.504
O 0.265 0.995 0.504
O 0.764 0.005 0.482
O 0.736 0.507 0.480
O 0.994 0.251 0.464
O 0.504 0.752 0.463
O 0.963 0.498 0.257
O 0.538 0.001 0.259
O 0.749 0.259 0.253
O 0.750 0.760 0.251
O 0.250 0.258 0.248
O 0.255 0.762 0.241
O 0.461 0.500 0.243
O 0.037 0.999 0.236
O 0.016 0.751 0.053
O 0.491 0.253 0.034
O 0.267 0.003 0.027
O 0.237 0.509 0.017


total energy of number 4 (FeNiPO5)?
-211.17 eV per cell